[1]
A relaxed TiH10N3F5 crystal, computed with PBE.

## Properties
**Formation energy**: -1.11 eV/atom
**Symmetry**: Cc, No. 9
**Spin magnetization**: 4.0 μB/cell

The structure in extended XYZ format:
```
38
Lattice="-1.1630 -5.5157 -4.0783 2.7635 -6.0627 2.0039 -8.4815 -7.6993 4.7832" Properties=species:S:1:pos:R:3 pbc="T T T"
Ti -8.9143 -13.3201 1.2934
Ti -1.7160 -9.8824 3.4829
H -6.5048 -16.2495 3.3019
H -5.0585 -15.7299 2.6470
H -6.5312 -15.0577 2.0907
H -5.9261 -14.6954 3.6489
H -2.7749 -12.3287 0.1191
H -1.5389 -11.7798 -0.8616
H -2.7225 -10.7013 -0.3493
H -4.7066 -9.0669 -0.2470
H -1.5912 -11.3055 0.7823
H -5.2420 -8.1466 1.8120
H -5.6095 -7.9590 3.4604
H -4.0470 -8.1235 2.9794
H -4.8458 -6.6735 2.6352
H -0.8005 -4.1354 -0.9523
H -4.3608 -5.2574 2.5323
H 1.7726 -5.5290 0.8286
H -0.2404 -4.4029 0.5989
H -1.8714 -4.0393 0.2903
H -0.7019 -2.8104 0.0936
H -0.2920 -1.3838 -0.1257
N -6.0003 -15.4218 2.9203
N -7.3429 -12.0786 1.0946
N -2.1522 -11.5175 -0.0796
N -4.9498 -7.7162 2.7134
N -0.7826 -8.5520 2.2959
N -0.9009 -3.8398 0.0246
F -3.6519 -13.8393 0.2161
F -5.4249 -9.1048 0.5040
F -5.4101 -13.2922 5.3866
F 1.4017 -10.1029 -0.9164
F -3.9687 -9.0526 -1.3411
F -3.3398 -10.3090 2.7869
F -6.3286 -9.0681 4.9095
F -0.5106 -6.2627 -1.7912
F 0.7908 -5.5302 1.1716
F -3.5733 -5.0115 0.2169
```

***

[2]
A relaxed TiH12N3F7 crystal, computed with PBE.

## Properties
**Formation energy**: -1.11 eV/atom
**Symmetry**: P1, No. 1
**Spin magnetization**: 0.0 μB/cell

The structure in extended XYZ format:
```
23
Lattice="-6.9446 0.8389 -0.2632 1.9520 -5.8671 3.5789 3.7837 4.3196 4.2646" Properties=species:S:1:pos:R:3 pbc="T T T"
Ti -1.5777 1.6859 5.3876
H 0.9980 -4.2191 4.4589
H -0.8800 -1.2908 2.0012
H -0.8155 -0.8643 7.1731
H -2.7047 -3.1103 3.0979
H -0.4554 -2.7165 4.7890
H -2.0582 -2.7923 5.3963
H -1.5871 -1.5976 4.2557
H 0.0359 2.0579 3.2846
H 2.9224 1.8857 4.3366
H -2.3229 4.5384 3.9995
H 0.5814 -1.1891 6.1577
H 0.4304 -4.6978 4.3440
N -1.7743 -3.4505 3.4285
N -1.4563 -2.5930 4.5498
N -0.6862 2.0707 4.0007
F -2.0822 -0.0926 5.3473
F 2.3544 1.7803 3.5415
F -1.5219 -0.7668 2.4986
F 0.9050 -1.2310 5.2660
F 3.7823 1.9987 5.5187
F -4.2468 -2.5228 2.6310
F -4.0425 1.1686 0.4822
```

***

[3]
A relaxed TiH8N2F6 crystal, computed with PBE.

## Properties
**Formation energy**: -1.83 eV/atom
**Symmetry**: P-3m1, No. 164
**Spin magnetization**: 0.0 μB/cell

The structure in extended XYZ format:
```
17
Lattice="-1.0970 2.6962 -5.3389 -1.7531 2.6728 5.1730 4.2336 2.2557 0.2693" Properties=species:S:1:pos:R:3 pbc="T T T"
Ti 0.0000 0.0000 0.0000
H -1.1303 2.8959 1.6947
H 2.5139 4.7288 -1.5914
H 0.5071 2.8034 1.3116
H 0.0236 3.5407 2.7385
H -0.2790 4.2844 1.2658
H 0.8764 4.8213 -1.2082
H 1.3600 4.0840 -2.6351
H 1.6626 3.3403 -1.1624
N -0.2230 3.3793 1.7524
N 1.6066 4.2454 -1.6491
F 1.6283 4.4261 3.8249
F 1.0187 5.9243 0.8583
F 2.6024 2.9409 0.9505
F -0.2447 3.1986 -3.7215
F 0.3648 1.7004 -0.7549
F -1.2188 4.6838 -0.8471
```

***

[4]
A relaxed TiH8N2F6 crystal, computed with PBE.

## Properties
**Formation energy**: -1.82 eV/atom
**Symmetry**: P-3m1, No. 164
**Spin magnetization**: 0.0 μB/cell

The structure in extended XYZ format:
```
17
Lattice="2.9119 -5.0435 0.0000 2.9119 5.0435 0.0000 0.0000 0.0000 4.8865" Properties=species:S:1:pos:R:3 pbc="T T T"
Ti 0.0000 0.0000 0.0000
H 2.0729 2.1655 1.1523
H 3.7508 2.1655 1.1523
H 2.9119 0.7124 1.1523
H 2.9119 -1.6812 2.3594
H 2.9119 1.6812 2.5271
H 2.9119 -0.7124 3.7342
H 2.0729 -2.1655 3.7342
H 3.7508 -2.1655 3.7342
N 2.9119 1.6812 1.4943
N 2.9119 -1.6812 3.3922
F 2.9119 -3.4642 1.0580
F 4.4560 -0.7897 1.0580
F 1.3677 -0.7897 1.0580
F 4.4560 0.7897 3.8285
F 1.3677 0.7897 3.8285
F 2.9119 3.4642 3.8285
```

***

[5]
A relaxed UH12N5F4 crystal, computed with PBE.

## Properties
**Formation energy**: -0.95 eV/atom
**Symmetry**: P4/ncc, No. 130
**Spin magnetization**: 16.7 μB/cell

The structure in extended XYZ format:
```
88
Lattice="9.5274 0.0000 0.0000 0.0000 9.5274 0.0000 0.0000 0.0000 11.3818" Properties=species:S:1:pos:R:3 pbc="T T T"
U 7.1456 2.3819 2.8455
U 7.1456 2.3819 8.5364
U 2.3819 7.1456 8.5364
U 2.3819 7.1456 2.8455
H 4.8611 0.4508 4.0334
H 9.4300 0.4508 9.7243
H 4.8611 4.3130 9.7243
H 9.4300 4.3130 4.0334
H 0.4508 4.8611 9.7243
H 4.3130 4.8611 4.0334
H 0.4508 9.4300 4.0334
H 4.3130 9.4300 9.7243
H 4.6663 9.0767 7.3484
H 0.0974 9.0767 1.6575
H 4.6663 5.2145 1.6575
H 0.0974 5.2145 7.3484
H 9.0767 4.6663 1.6575
H 5.2145 4.6663 7.3484
H 9.0767 0.0974 7.3484
H 5.2145 0.0974 1.6575
H 4.1454 1.9022 3.7522
H 0.6183 1.9022 9.4431
H 4.1454 2.8615 9.4431
H 0.6183 2.8615 3.7522
H 1.9022 4.1454 9.4431
H 2.8615 4.1454 3.7522
H 1.9022 0.6183 3.7522
H 2.8615 0.6183 9.4431
H 5.3820 7.6252 7.6296
H 8.9091 7.6252 1.9387
H 5.3820 6.6659 1.9387
H 8.9091 6.6659 7.6296
H 7.6252 5.3820 1.9387
H 6.6659 5.3820 7.6296
H 7.6252 8.9091 7.6296
H 6.6659 8.9091 1.9387
H 5.0692 1.6740 5.1038
H 9.2220 1.6740 10.7947
H 5.0692 3.0897 10.7947
H 9.2220 3.0897 5.1038
H 1.6740 5.0692 10.7947
H 3.0897 5.0692 5.1038
H 1.6740 9.2220 5.1038
H 3.0897 9.2220 10.7947
H 4.4583 7.8534 6.2780
H 0.3054 7.8534 0.5871
H 4.4583 6.4377 0.5871
H 0.3054 6.4377 6.2780
H 7.8534 4.4583 0.5871
H 6.4377 4.4583 6.2780
H 7.8534 0.3054 6.2780
H 6.4377 0.3054 0.5871
N 5.0067 1.4641 4.0997
N 9.2844 1.4641 9.7906
N 5.0067 3.2996 9.7906
N 9.2844 3.2996 4.0997
N 1.4641 5.0067 9.7906
N 3.2996 5.0067 4.0997
N 1.4641 9.2844 4.0997
N 3.2996 9.2844 9.7906
N 4.5207 8.0633 7.2822
N 0.2430 8.0633 1.5912
N 4.5207 6.2278 1.5912
N 0.2430 6.2278 7.2822
N 8.0633 4.5207 1.5912
N 6.2278 4.5207 7.2822
N 8.0633 0.2430 7.2822
N 6.2278 0.2430 1.5912
N 7.1456 7.1456 3.6225
N 7.1456 7.1456 9.3134
N 2.3819 2.3819 7.7594
N 2.3819 2.3819 2.0684
F 6.4401 3.8856 4.1906
F 7.8510 3.8856 9.8815
F 6.4401 0.8782 9.8815
F 7.8510 0.8782 4.1906
F 3.8856 6.4401 9.8815
F 0.8782 6.4401 4.1906
F 3.8856 7.8510 4.1906
F 0.8782 7.8510 9.8815
F 3.0873 5.6419 7.1913
F 1.6764 5.6419 1.5004
F 3.0873 8.6493 1.5004
F 1.6764 8.6493 7.1913
F 5.6419 3.0873 1.5004
F 8.6493 3.0873 7.1913
F 5.6419 1.6764 7.1913
F 8.6493 1.6764 1.5004
```

***

[6]
A relaxed UH18N5F7 crystal, computed with PBE.

## Properties
**Formation energy**: -1.32 eV/atom
**Symmetry**: P2_1/c, No. 14
**Spin magnetization**: 8.0 μB/cell

The structure in extended XYZ format:
```
124
Lattice="12.3361 0.0000 0.0000 0.0000 6.6670 0.0000 0.0000 5.5606 13.5185" Properties=species:S:1:pos:R:3 pbc="T T T"
U 3.1933 4.0396 8.0602
U 2.9748 1.2593 1.3010
U 9.1428 8.1880 5.4583
U 9.3613 10.9683 12.2176
H 3.7797 7.6864 8.8776
H 2.3883 4.9061 2.1183
H 8.5564 4.5412 4.6409
H 9.9478 7.3215 11.4002
H 2.9689 8.3331 10.1545
H 3.1992 5.5527 3.3953
H 9.3672 3.8946 3.3640
H 9.1369 6.6749 10.1232
H 2.1652 7.7825 8.8229
H 4.0028 5.0022 2.0636
H 10.1709 4.4451 4.6956
H 8.3333 7.2254 11.4549
H 7.1632 9.4415 9.6456
H 11.3410 6.6611 2.8863
H 5.1729 2.7862 3.8730
H 0.9951 5.5665 10.6322
H 7.5652 8.1627 8.6223
H 10.9390 5.3824 1.8631
H 4.7709 4.0649 4.8962
H 1.3971 6.8453 11.6555
H 6.0717 8.9411 8.4476
H 0.0964 6.1608 1.6883
H 6.2644 3.2865 5.0709
H 12.2397 6.0668 11.8302
H 6.3318 7.9463 9.8400
H 12.1723 5.1660 3.0807
H 6.0043 4.2813 3.6785
H 0.1638 7.0616 10.4378
H 0.1864 9.5383 12.2785
H 5.9816 6.7580 5.5193
H 12.1497 2.6893 1.2400
H 6.3545 5.4696 7.9992
H 1.7797 9.0564 12.6530
H 4.3883 6.2761 5.8938
H 10.5564 3.1712 0.8655
H 7.9478 5.9515 7.6247
H 1.4887 10.1596 11.3692
H 4.6793 7.3793 4.6099
H 10.8474 2.0680 2.1493
H 7.6568 4.8483 8.9086
H 1.2580 10.6463 12.9858
H 4.9100 7.8660 6.2266
H 11.0781 1.5813 0.5327
H 7.4261 4.3616 7.2920
H 11.2813 4.0175 7.3682
H 7.2229 1.2372 0.6089
H 1.0548 8.2101 6.1504
H 5.1132 10.9904 12.9096
H 11.0183 4.8602 8.8283
H 7.4859 2.0799 2.0690
H 1.3178 7.3674 4.6902
H 4.8502 10.1478 11.4495
H 1.5136 6.6013 6.2683
H 4.6544 9.3816 13.0276
H 10.8225 5.6263 7.2502
H 7.6817 2.8460 0.4909
H 0.0149 5.2462 7.8511
H 6.1531 2.4659 1.0919
H 12.3212 6.9814 5.6674
H 6.1830 9.7617 12.4266
H 11.0077 8.0170 8.8083
H 7.4964 5.2367 2.0491
H 1.3284 4.2106 4.7102
H 4.8397 6.9909 11.4695
H 0.1501 8.6989 8.6842
H 6.0179 5.9186 1.9250
H 12.1860 3.5287 4.8343
H 6.3182 6.3091 11.5935
H 11.5168 9.0778 9.9464
H 6.9874 6.2974 3.1872
H 0.8193 3.1499 3.5721
H 5.3487 5.9302 10.3314
N 2.9948 8.2929 9.1341
N 3.1732 5.5126 2.3749
N 9.3413 3.9347 4.3844
N 9.1629 6.7151 11.1436
N 1.1830 9.8446 12.3232
N 4.9851 7.0643 5.5640
N 11.1531 2.3830 1.1953
N 7.3510 5.1633 7.9545
N 11.3531 4.9448 7.8358
N 7.1510 2.1644 1.0766
N 0.9830 7.2829 5.6827
N 5.1851 10.0632 12.4419
N 11.8297 8.2973 9.3583
N 6.6745 5.5170 2.5990
N 0.5064 3.9303 4.1603
N 5.6616 6.7106 10.9195
N 6.7799 8.6202 9.1347
N 11.7242 5.8399 2.3754
N 5.5562 3.6074 4.3838
N 0.6119 6.3877 11.1431
F 1.6986 5.7986 7.7787
F 4.4694 3.0183 1.0195
F 10.6375 6.4290 5.7398
F 7.8667 9.2093 12.4990
F 4.6494 5.8116 8.0485
F 1.5187 3.0312 1.2893
F 7.6868 6.4161 5.4700
F 10.8174 9.1964 12.2292
F 3.4246 4.7533 5.7830
F 2.7435 7.5336 12.5423
F 8.9115 7.4743 7.7355
F 9.5927 4.6940 0.9762
F 4.6436 10.5079 9.8102
F 1.5244 7.7276 3.0509
F 7.6925 1.7197 3.7083
F 10.8117 4.5000 10.4676
F 4.7507 9.3598 7.1580
F 1.4174 6.5795 0.3988
F 7.5854 2.8678 6.3605
F 10.9187 5.6481 13.1197
F 1.5082 2.9562 7.1165
F 4.6598 0.1759 0.3572
F 10.8279 9.2714 6.4020
F 7.6763 12.0518 13.1613
F 1.8351 4.1898 9.9107
F 4.3329 1.4095 3.1514
F 10.5010 8.0378 3.6078
F 8.0032 10.8182 10.3671
```

***

[7]
A relaxed ZrH3NF4 crystal, computed with PBE.

## Properties
**Formation energy**: -2.43 eV/atom
**Symmetry**: P-1, No. 2
**Spin magnetization**: 0.0 μB/cell

The structure in extended XYZ format:
```
36
Lattice="-2.7554 2.7984 4.7286 -4.6320 -6.4733 -1.9342 7.3893 -3.0888 3.3981" Properties=species:S:1:pos:R:3 pbc="T T T"
Zr -4.2015 -2.9888 2.7457
Zr 4.2033 -3.7750 3.4468
Zr -2.1493 0.4285 3.7084
Zr 2.1511 -7.1923 2.4841
H -2.5326 -5.6819 0.6882
H 2.5345 -1.0818 5.5043
H -0.9034 -5.9236 0.8712
H 0.9053 -0.8402 5.3213
H 0.3997 -1.9475 1.8501
H -0.3979 -4.8163 4.3424
H 0.8161 -3.5320 1.6309
H 1.8857 0.4435 5.6548
H -0.7530 -3.0211 1.4340
H 0.7548 -3.7427 4.7585
H -1.8839 -7.2073 0.5377
H -0.8143 -3.2318 4.5617
N 0.2274 -2.7749 1.2745
N -1.7299 -6.2116 0.3359
N 1.7318 -0.5522 5.8566
N -0.2256 -3.9889 4.9180
F -0.7439 0.4018 2.0463
F -0.8787 -1.0739 4.1099
F 2.6499 -2.6116 2.9749
F -2.6481 -4.1521 3.2176
F -4.0180 -4.0537 0.8784
F 0.8806 -5.6899 2.0826
F -2.5266 -2.0730 1.5915
F 0.7458 -7.1656 4.1462
F -3.5492 -1.2773 3.8188
F 3.5511 -5.4865 2.3737
F 6.2120 -4.4103 2.9536
F -6.2101 -2.3535 3.2389
F -0.7591 1.6435 4.7914
F 0.7610 -8.4073 1.4011
F 2.5284 -4.6907 4.6010
F 4.0199 -2.7100 5.3141
```

***

Values of density, in order: 1.35 1.41 2.14 2.29 2.55 2.74 3.26, all in Mg/m³.